No. 1
First-principles (GGA-PBE) data for BaCuO2 after structural relaxation, as listed in the Materials Project database.

Computed properties:
size of the total moment = 0.782 μB per formula unit
E_tot = -88.415 eV/cell

Cell: 3.720 11.899 5.957 Å, 90.00 90.00 90.00°
Fractional positions:
Ba 0.001 0.139 0.250
Ba 0.001 0.361 0.750
Ba 0.999 0.639 0.250
Ba 0.999 0.861 0.750
Cu 0.499 0.632 0.750
Cu 0.499 0.868 0.250
Cu 0.501 0.132 0.750
Cu 0.501 0.368 0.250
O 0.001 0.088 0.750
O 0.001 0.412 0.250
O 0.499 0.750 0.000
O 0.499 0.750 0.500
O 0.501 0.250 0.000
O 0.501 0.250 0.500
O 0.999 0.588 0.750
O 0.999 0.912 0.250

---

No. 2
First-principles (GGA-PBE) data for YLuCu2 after structural relaxation, as listed in the Materials Project database.

Computed properties:
E_tot = -20.261 eV/cell

Cell: 4.855 4.855 4.855 Å, 60.00 60.00 60.00°
Fractional positions:
Y 0.000 0.000 0.000
Lu 0.500 0.500 0.500
Cu 0.250 0.250 0.250
Cu 0.750 0.750 0.750